Arrangement P

PrTm3: relaxed, r2SCAN.

M_tot in Bohr magnetons per cell: 9.50

Unit cell a=7.217 b=12.488 c=5.747 alpha=90.00 beta=90.00 gamma=90.00
Space group Cmcm (No. 63)
One atom of each set of equivalent atoms:
Pr1 0.000 0.166 0.250 x4
Tm1 0.000 0.336 0.750 x4
Tm2 0.246 0.418 0.250 x8

***

Arrangement Q

PrTm3: relaxed, r2SCAN.

M_tot in Bohr magnetons per cell: 0.00

Unit cell a=5.044 b=5.044 c=9.946 alpha=90.00 beta=90.00 gamma=90.00
Space group I4/mmm (No. 139)
One atom of each set of equivalent atoms:
Pr1 0.000 0.000 0.000 x2
Tm1 0.000 0.000 0.500 x2
Tm2 0.000 0.500 0.250 x4

***

What should be chosen as the least stable of them? Choose arrangement Q.

***

Arrangement P

PrY3: relaxed, r2SCAN.

M_tot in Bohr magnetons per cell: 5.37

Unit cell a=7.3808 b=7.3808 c=5.9162 alpha=90.00 beta=90.00 gamma=120.00
Space group P6_3/mmc (No. 194)
One atom of each set of equivalent atoms:
Pr1 0.3333 0.6667 0.2500 x2
Y1 0.1643 0.3287 0.7500 x6

***

Arrangement Q

PrY3: relaxed, r2SCAN.

M_tot in Bohr magnetons per cell: 0.00

Unit cell a=5.164 b=5.164 c=10.198 alpha=90.00 beta=90.00 gamma=90.00
Space group I4/mmm (No. 139)
One atom of each set of equivalent atoms:
Pr1 0.000 0.000 0.000 x2
Y1 0.000 0.000 0.500 x2
Y2 0.000 0.500 0.250 x4

***

What should be chosen as the least stable of them? Choose arrangement Q.

***

Arrangement P

Pu: relaxed, r2SCAN.

M_tot in Bohr magnetons per cell: 18.42

Unit cell a=6.2237 b=6.2237 c=5.2145 alpha=90.00 beta=90.00 gamma=120.00
Space group P6_3/m (No. 176)
One atom of each set of equivalent atoms:
Pu1 0.0735 0.7291 0.2500 x6
Pu2 0.3333 0.6667 0.7500 x2

***

Arrangement Q

Pu: relaxed, r2SCAN.

M_tot in Bohr magnetons per cell: 3.07

Unit cell a=3.602 b=5.583 c=6.919 alpha=90.00 beta=90.00 gamma=90.00
Space group Fddd (No. 70, origin choice 2)
One atom of each set of equivalent atoms:
Pu1 0.125 0.125 0.125 x8

***

Arrangement R

Pu: relaxed, r2SCAN.

M_tot in Bohr magnetons per cell: 6.19

Unit cell a=4.260 b=9.788 c=3.611 alpha=90.00 beta=90.00 gamma=90.00
Space group Cmce (No. 64)
One atom of each set of equivalent atoms:
Pu1 0.000 0.116 0.103 x8

***

What should be chosen as the least stable of them? Choose arrangement R.